No. 1
Below is a relaxed structure of ZnS, with properties calculated at the PBE level.

Cell lengths 3.8755, 3.8755, 56.5485 Å; angles 88.04, 88.04, 60.00 degrees
Fractional coordinates of all 36 atoms:
S  0.2824  0.2824  0.1527
S  0.6343  0.6343  0.0972
S  0.7454  0.7454  0.7638
S  0.8750  0.8750  0.3749
S  0.9861  0.9861  0.0416
S  0.5232  0.5232  0.4305
S  0.0972  0.0972  0.7083
S  0.7083  0.7083  0.8750
S  0.3935  0.3935  0.8194
S  0.2269  0.2269  0.3194
S  0.3380  0.3380  0.9861
S  0.8380  0.8380  0.4861
S  0.9306  0.9306  0.2083
S  0.1528  0.1528  0.5416
S  0.0232  0.0232  0.9305
S  0.7824  0.7824  0.6527
S  0.5787  0.5787  0.2638
S  0.4676  0.4676  0.5972
Zn  0.0370  0.0370  0.8889
Zn  0.7963  0.7963  0.6111
Zn  0.4074  0.4074  0.7778
Zn  0.1667  0.1667  0.5000
Zn  0.7592  0.7592  0.7223
Zn  0.4815  0.4815  0.5556
Zn  0.8889  0.8889  0.3334
Zn  0.2963  0.2963  0.1111
Zn  0.5926  0.5926  0.2223
Zn  0.7222  0.7222  0.8334
Zn  0.9444  0.9444  0.1667
Zn  0.5370  0.5370  0.3889
Zn  0.1111  0.1111  0.6667
Zn  0.2407  0.2407  0.2778
Zn  0.0000  0.0000  0.0000
Zn  0.8518  0.8518  0.4445
Zn  0.3518  0.3518  0.9445
Zn  0.6481  0.6481  0.0556

Size of the total moment: 0.00 μB per formula unit

***

No. 2
Below is a relaxed structure of ZnS, with properties calculated at the PBE level.

Cell lengths 3.8515, 3.8515, 75.5390 Å; angles 90.00, 90.00, 120.00 degrees
Fractional coordinates of all 48 atoms:
Zn  0.0000  0.0000  0.2083
Zn  0.6667  0.3333  0.9583
Zn  0.3333  0.6667  0.6666
Zn  0.0000  0.0000  0.3333
Zn  0.3333  0.6667  0.4167
Zn  0.0000  0.0000  0.7083
Zn  0.0000  0.0000  0.4583
Zn  0.0000  0.0000  0.0833
Zn  0.3333  0.6667  0.0000
Zn  0.3333  0.6667  0.8750
Zn  0.3333  0.6667  0.5417
Zn  0.6667  0.3333  0.6250
Zn  0.6667  0.3333  0.3750
Zn  0.0000  0.0000  0.8333
Zn  0.3333  0.6667  0.1250
Zn  0.6667  0.3333  0.7917
Zn  0.6667  0.3333  0.0417
Zn  0.3333  0.6667  0.7500
Zn  0.6667  0.3333  0.5000
Zn  0.0000  0.0000  0.5834
Zn  0.3333  0.6667  0.2500
Zn  0.0000  0.0000  0.9167
Zn  0.6667  0.3333  0.1667
Zn  0.6667  0.3333  0.2916
S  0.0000  0.0000  0.1146
S  0.0000  0.0000  0.9479
S  0.3333  0.6667  0.4479
S  0.3333  0.6667  0.6979
S  0.3333  0.6667  0.0313
S  0.6667  0.3333  0.5313
S  0.6667  0.3333  0.4062
S  0.3333  0.6667  0.1562
S  0.6667  0.3333  0.9896
S  0.0000  0.0000  0.4896
S  0.6667  0.3333  0.6562
S  0.0000  0.0000  0.3646
S  0.6667  0.3333  0.1979
S  0.6667  0.3333  0.8229
S  0.0000  0.0000  0.7396
S  0.0000  0.0000  0.8646
S  0.0000  0.0000  0.2396
S  0.6667  0.3333  0.0729
S  0.3333  0.6667  0.9063
S  0.3333  0.6667  0.2812
S  0.0000  0.0000  0.6146
S  0.3333  0.6667  0.7812
S  0.6667  0.3333  0.3229
S  0.3333  0.6667  0.5729

***

No. 3
Below is a relaxed structure of ZnS, with properties calculated at the PBE level.

Cell lengths 12.3452, 15.3417, 13.4109 Å; angles 83.62, 87.01, 82.88 degrees
Fractional coordinates of all 100 atoms:
Zn  0.6680  0.2496  0.3240
Zn  0.9324  0.2261  0.6689
Zn  0.9762  0.0279  0.9042
Zn  0.1655  0.8605  0.9476
Zn  0.9748  0.4371  0.5207
Zn  0.9363  0.0586  0.3789
Zn  0.4132  0.7412  0.8195
Zn  0.1682  0.3063  0.9075
Zn  0.9029  0.9686  0.1014
Zn  0.4468  0.9047  0.4301
Zn  0.5991  0.4056  0.2895
Zn  0.8422  0.9793  0.6177
Zn  0.0594  0.3298  0.3008
Zn  0.1022  0.6949  0.2110
Zn  0.4958  0.2550  0.8027
Zn  0.3150  0.2613  0.3341
Zn  0.6685  0.3257  0.9352
Zn  0.6317  0.8405  0.6020
Zn  0.9948  0.8427  0.5784
Zn  0.6084  0.5773  0.0221
Zn  0.3157  0.1003  0.5985
Zn  0.9959  0.6320  0.0282
Zn  0.6552  0.0722  0.1908
Zn  0.6287  0.0597  0.4743
Zn  0.5942  0.7831  0.8830
Zn  0.4489  0.2523  0.1010
Zn  0.7988  0.3664  0.3213
Zn  0.2414  0.7630  0.6406
Zn  0.1908  0.0077  0.7069
Zn  0.7596  0.2613  0.5690
Zn  0.2389  0.3896  0.5627
Zn  0.7839  0.6279  0.8285
Zn  0.5342  0.7461  0.1467
Zn  0.2859  0.1118  0.9378
Zn  0.4858  0.5854  0.2813
Zn  0.1786  0.1917  0.6998
Zn  0.7498  0.2321  0.7569
Zn  0.4469  0.9028  0.8368
Zn  0.6692  0.0466  0.9370
Zn  0.1942  0.2281  0.1613
Zn  0.2351  0.6272  0.9343
Zn  0.5380  0.5310  0.7971
Zn  0.9165  0.7693  0.7259
Zn  0.6165  0.4582  0.5492
Zn  0.0838  0.6411  0.5068
Zn  0.3034  0.8212  0.3064
Zn  0.1185  0.9757  0.4195
Zn  0.3565  0.5085  0.5602
Zn  0.9786  0.5542  0.3344
Zn  0.8950  0.4051  0.8981
S  0.0736  0.4452  0.8696
S  0.4920  0.3361  0.9459
S  0.3158  0.6431  0.2073
S  0.1334  0.7262  0.0409
S  0.7150  0.5005  0.8865
S  0.0320  0.0987  0.7566
S  0.2955  0.9655  0.3401
S  0.1562  0.1912  0.3307
S  0.1097  0.4377  0.3885
S  0.3455  0.7716  0.1478
S  0.4077  0.2724  0.4756
S  0.5142  0.5670  0.6343
S  0.8375  0.2676  0.9064
S  0.9223  0.5934  0.4965
S  0.9473  0.6603  0.8604
S  0.2218  0.7603  0.8186
S  0.0651  0.3268  0.6482
S  0.7619  0.1559  0.4489
S  0.5815  0.7069  0.3110
S  0.9212  0.3672  0.1967
S  0.8265  0.0286  0.2346
S  0.2208  0.6237  0.6090
S  0.0792  0.9707  0.0393
S  0.4054  0.1055  0.0707
S  0.1333  0.1898  0.0186
S  0.4487  0.7480  0.4059
S  0.1590  0.9094  0.5937
S  0.1318  0.5041  0.9896
S  0.4733  0.1468  0.5388
S  0.0168  0.8515  0.3963
S  0.4503  0.7641  0.6409
S  0.5300  0.9675  0.6834
S  0.3062  0.3374  0.1745
S  0.6682  0.7150  0.0295
S  0.4910  0.4760  0.4168
S  0.7981  0.3999  0.4882
S  0.6254  0.1297  0.7956
S  0.4392  0.6054  0.9179
S  0.1383  0.7472  0.3609
S  0.8252  0.9546  0.9495
S  0.2792  0.9784  0.8648
S  0.9339  0.6445  0.1959
S  0.5508  0.0168  0.0728
S  0.5438  0.1844  0.2475
S  0.6330  0.9153  0.4423
S  0.5397  0.4930  0.1521
S  0.4047  0.9095  0.6244
S  0.3053  0.2336  0.8065
S  0.7166  0.7628  0.7393
S  0.6045  0.3302  0.6711

Size of the total moment: 0.00 μB per formula unit

***

No. 4
Below is a relaxed structure of ZnS, with properties calculated at the PBE level.

Cell lengths 14.2181, 12.7369, 13.6894 Å; angles 95.49, 99.02, 91.07 degrees
Fractional coordinates of all 100 atoms:
Zn  0.3899  0.0455  0.5354
Zn  0.2470  0.6345  0.7158
Zn  0.7848  0.8650  0.7177
Zn  0.3413  0.0514  0.2767
Zn  0.5577  0.8800  0.9656
Zn  0.0896  0.0133  0.0074
Zn  0.0252  0.6425  0.1942
Zn  0.1864  0.3246  0.0093
Zn  0.9936  0.4934  0.9892
Zn  0.0315  0.4221  0.6133
Zn  0.1865  0.5113  0.8271
Zn  0.2500  0.5795  0.1012
Zn  0.8754  0.2358  0.0175
Zn  0.8971  0.7427  0.3449
Zn  0.3090  0.6483  0.9052
Zn  0.3812  0.7391  0.5458
Zn  0.4080  0.2991  0.1608
Zn  0.2392  0.4558  0.3152
Zn  0.7648  0.8842  0.1457
Zn  0.1858  0.8787  0.0775
Zn  0.2184  0.1888  0.5585
Zn  0.5111  0.5504  0.7098
Zn  0.9023  0.2658  0.5379
Zn  0.5500  0.1702  0.9600
Zn  0.5708  0.9150  0.2773
Zn  0.3425  0.9750  0.7293
Zn  0.1237  0.6695  0.4466
Zn  0.8577  0.6745  0.9224
Zn  0.9907  0.1009  0.7726
Zn  0.9856  0.7853  0.6502
Zn  0.5002  0.3628  0.4715
Zn  0.5697  0.2061  0.3022
Zn  0.4884  0.2548  0.7172
Zn  0.1474  0.9519  0.3271
Zn  0.7495  0.5016  0.0601
Zn  0.2716  0.4617  0.5434
Zn  0.5334  0.4831  0.3185
Zn  0.9156  0.5801  0.5017
Zn  0.7733  0.9892  0.9468
Zn  0.9920  0.0834  0.4787
Zn  0.7336  0.1792  0.7719
Zn  0.7011  0.1488  0.1695
Zn  0.1753  0.9506  0.7221
Zn  0.0334  0.3148  0.4353
Zn  0.4525  0.4414  0.9567
Zn  0.8005  0.0148  0.6246
Zn  0.8966  0.0647  0.2113
Zn  0.6763  0.6234  0.1704
Zn  0.5654  0.9911  0.7518
Zn  0.7933  0.5672  0.6955
S  0.5379  0.7238  0.0391
S  0.0304  0.9237  0.7706
S  0.8469  0.2297  0.1796
S  0.5022  0.0631  0.3537
S  0.1928  0.3329  0.4215
S  0.2622  0.8881  0.2429
S  0.2642  0.0816  0.4250
S  0.8522  0.4053  0.9740
S  0.7230  0.1566  0.9333
S  0.5379  0.3243  0.8803
S  0.7566  0.0465  0.3234
S  0.8833  0.9356  0.0698
S  0.5953  0.6447  0.3221
S  0.0898  0.4028  0.8913
S  0.4702  0.0103  0.8835
S  0.1842  0.1834  0.0975
S  0.3501  0.1555  0.6766
S  0.9053  0.5569  0.2686
S  0.4755  0.6155  0.9207
S  0.0929  0.1143  0.6231
S  0.6718  0.8753  0.8321
S  0.0320  0.0799  0.3261
S  0.4495  0.9025  0.6035
S  0.3260  0.1395  0.1296
S  0.7518  0.7785  0.2599
S  0.8677  0.7468  0.5103
S  0.4950  0.7623  0.3122
S  0.5988  0.1329  0.6632
S  0.3369  0.4211  0.0524
S  0.8664  0.1920  0.6920
S  0.8759  0.7159  0.7622
S  0.1082  0.6751  0.6155
S  0.2804  0.6092  0.4484
S  0.4028  0.6800  0.7023
S  0.1411  0.5059  0.1794
S  0.1880  0.4138  0.6701
S  0.4379  0.4010  0.6101
S  0.5660  0.2562  0.1336
S  0.0068  0.5097  0.3853
S  0.9901  0.1413  0.9414
S  0.0577  0.7794  0.3309
S  0.8678  0.4528  0.5954
S  0.6324  0.3587  0.4002
S  0.6231  0.9747  0.1265
S  0.9986  0.6737  0.0261
S  0.6698  0.5180  0.7727
S  0.3941  0.3891  0.3175
S  0.8206  0.0966  0.4697
S  0.7013  0.6123  0.9102
S  0.2871  0.7326  0.0497

Size of the total moment: 0.00 μB per formula unit

***

No. 5
Below is a relaxed structure of ZnS, with properties calculated at the PBE level.

Cell lengths 3.8551, 3.8551, 201.4899 Å; angles 90.00, 90.00, 120.00 degrees
Fractional coordinates of all 128 atoms:
Zn  0.3333  0.6667  0.5312
Zn  0.6667  0.3333  0.1250
Zn  0.6667  0.3333  0.3125
Zn  0.0000  0.0000  0.1875
Zn  0.0000  0.0000  0.9687
Zn  0.3333  0.6667  0.9219
Zn  0.0000  0.0000  0.6563
Zn  0.0000  0.0000  0.0000
Zn  0.6667  0.3333  0.8906
Zn  0.3333  0.6667  0.8750
Zn  0.0000  0.0000  0.5156
Zn  0.6667  0.3333  0.7969
Zn  0.6667  0.3333  0.5000
Zn  0.3333  0.6667  0.1094
Zn  0.3333  0.6667  0.4844
Zn  0.3333  0.6667  0.0625
Zn  0.3333  0.6667  0.7500
Zn  0.3333  0.6667  0.6719
Zn  0.3333  0.6667  0.2031
Zn  0.0000  0.0000  0.0937
Zn  0.0000  0.0000  0.4219
Zn  0.6667  0.3333  0.6875
Zn  0.0000  0.0000  0.3750
Zn  0.6667  0.3333  0.8437
Zn  0.6667  0.3333  0.6406
Zn  0.0000  0.0000  0.2813
Zn  0.6667  0.3333  0.9375
Zn  0.3333  0.6667  0.2969
Zn  0.6667  0.3333  0.4531
Zn  0.6667  0.3333  0.3594
Zn  0.6667  0.3333  0.2656
Zn  0.0000  0.0000  0.8594
Zn  0.0000  0.0000  0.9063
Zn  0.3333  0.6667  0.9531
Zn  0.3333  0.6667  0.6250
Zn  0.6667  0.3333  0.4063
Zn  0.3333  0.6667  0.3906
Zn  0.0000  0.0000  0.5625
Zn  0.6667  0.3333  0.5469
Zn  0.0000  0.0000  0.1406
Zn  0.0000  0.0000  0.3281
Zn  0.0000  0.0000  0.8125
Zn  0.3333  0.6667  0.7031
Zn  0.0000  0.0000  0.4687
Zn  0.0000  0.0000  0.2344
Zn  0.3333  0.6667  0.0156
Zn  0.3333  0.6667  0.8281
Zn  0.6667  0.3333  0.0312
Zn  0.6667  0.3333  0.7344
Zn  0.0000  0.0000  0.7656
Zn  0.6667  0.3333  0.1719
Zn  0.3333  0.6667  0.5781
Zn  0.6667  0.3333  0.2187
Zn  0.6667  0.3333  0.9844
Zn  0.3333  0.6667  0.3437
Zn  0.0000  0.0000  0.7187
Zn  0.3333  0.6667  0.1563
Zn  0.6667  0.3333  0.5937
Zn  0.3333  0.6667  0.2500
Zn  0.6667  0.3333  0.0781
Zn  0.3333  0.6667  0.4375
Zn  0.3333  0.6667  0.7813
Zn  0.0000  0.0000  0.6094
Zn  0.0000  0.0000  0.0469
S  0.3333  0.6667  0.1680
S  0.3333  0.6667  0.7930
S  0.0000  0.0000  0.8242
S  0.6667  0.3333  0.0430
S  0.0000  0.0000  0.1523
S  0.3333  0.6667  0.1211
S  0.3333  0.6667  0.8867
S  0.3333  0.6667  0.7617
S  0.0000  0.0000  0.1055
S  0.3333  0.6667  0.3086
S  0.0000  0.0000  0.6211
S  0.3333  0.6667  0.0273
S  0.0000  0.0000  0.0117
S  0.6667  0.3333  0.6992
S  0.6667  0.3333  0.4180
S  0.3333  0.6667  0.4961
S  0.0000  0.0000  0.3398
S  0.3333  0.6667  0.6836
S  0.3333  0.6667  0.9336
S  0.0000  0.0000  0.9805
S  0.6667  0.3333  0.7461
S  0.6667  0.3333  0.8086
S  0.0000  0.0000  0.5742
S  0.6667  0.3333  0.1367
S  0.0000  0.0000  0.6680
S  0.6667  0.3333  0.6055
S  0.3333  0.6667  0.0742
S  0.3333  0.6667  0.2617
S  0.6667  0.3333  0.8555
S  0.3333  0.6667  0.5898
S  0.3333  0.6667  0.8398
S  0.3333  0.6667  0.9648
S  0.0000  0.0000  0.8711
S  0.0000  0.0000  0.5273
S  0.3333  0.6667  0.7148
S  0.0000  0.0000  0.1992
S  0.0000  0.0000  0.0586
S  0.0000  0.0000  0.7305
S  0.6667  0.3333  0.2773
S  0.0000  0.0000  0.3867
S  0.0000  0.0000  0.2461
S  0.0000  0.0000  0.4805
S  0.6667  0.3333  0.6523
S  0.3333  0.6667  0.4492
S  0.6667  0.3333  0.2305
S  0.6667  0.3333  0.9492
S  0.3333  0.6667  0.6367
S  0.6667  0.3333  0.4648
S  0.0000  0.0000  0.4336
S  0.6667  0.3333  0.0898
S  0.3333  0.6667  0.5430
S  0.6667  0.3333  0.1836
S  0.0000  0.0000  0.9180
S  0.6667  0.3333  0.3711
S  0.6667  0.3333  0.3242
S  0.6667  0.3333  0.9023
S  0.0000  0.0000  0.7774
S  0.6667  0.3333  0.5117
S  0.3333  0.6667  0.3555
S  0.0000  0.0000  0.2930
S  0.6667  0.3333  0.5586
S  0.3333  0.6667  0.4023
S  0.3333  0.6667  0.2148
S  0.6667  0.3333  0.9961

Size of the total moment: 0.00 μB per formula unit

***

| no. | calculated formation energy (eV/atom) |
| --- | --- |
| 1 | -1.05 |
| 2 | -1.06 |
| 3 | -0.61 |
| 4 | -0.66 |
| 5 | -1.06 |